# 1
VASP calculation (r2SCAN) on an optimized crystal structure of NaLi3.

## Properties
Final energy in eV per formula unit: -10.552
Distance to the lowest polymorph of the same formula in meV per atom: 3

extended XYZ file:
```
4
Lattice="-2.3158 2.3158 4.6482 2.3158 -2.3158 4.6482 2.3158 2.3158 -4.6482" Properties=species:S:1:pos:R:3 pbc="T T T"
Na 0.0000 0.0000 0.0000
Li 0.0000 2.3158 2.3241
Li 2.3158 0.0000 2.3241
Li 0.0000 0.0000 4.6482
```

---

# 2
VASP calculation (r2SCAN) on an optimized crystal structure of BaCu8P4.

## Properties
Final energy in eV per formula unit: -153.598

extended XYZ file:
```
13
Lattice="3.7126 0.0000 0.9989 1.8563 7.1748 0.4994 -0.0078 0.0000 7.4279" Properties=species:S:1:pos:R:3 pbc="T T T"
Ba 0.0000 0.0000 0.0000
Cu 2.6523 0.7922 4.9396
Cu 3.9106 4.0808 7.6617
Cu 3.0562 2.7108 3.4384
Cu 2.5048 4.4640 5.4878
Cu 4.8646 4.6485 4.1160
Cu 1.6505 3.0940 1.2644
Cu 0.6965 2.5263 4.8101
Cu 2.9087 6.3826 3.9866
P 4.3468 5.8022 6.0406
P 1.2143 1.3726 2.8855
P 2.2051 2.4709 6.6019
P 3.3560 4.7039 2.3243
```

---

# 3
VASP calculation (r2SCAN) on an optimized crystal structure of TbNiGe2.

## Properties
Final energy in eV per formula unit: -74.010

extended XYZ file:
```
8
Lattice="-1.0490 0.7848 3.9046 1.4948 -3.6576 1.1367 6.6978 5.2778 0.7386" Properties=species:S:1:pos:R:3 pbc="T T T"
Tb 0.8279 1.3365 3.2119
Tb 6.3157 1.0684 2.5680
Ni 3.9861 2.7996 3.7663
Ni 3.1576 -0.3946 2.0136
Ge 6.0304 3.7466 4.1252
Ge 3.4703 1.9253 1.6314
Ge 1.1133 -1.3416 1.6548
Ge 3.6733 0.4796 4.1485
```

---

# 4
VASP calculation (r2SCAN) on an optimized crystal structure of CaAcTl2.

## Properties
Final energy in eV per formula unit: -184.062

extended XYZ file:
```
4
Lattice="0.7244 -0.4461 5.6157 0.2107 4.6764 3.2166 -4.2858 1.2197 3.5220" Properties=species:S:1:pos:R:3 pbc="T T T"
Ca 0.0000 0.0000 0.0000
Ac -1.6754 2.7250 6.1772
Tl -2.5131 4.0875 9.2658
Tl -0.8377 1.3625 3.0886
```

---

# 5
VASP calculation (r2SCAN) on an optimized crystal structure of TbSi2Ni2.

## Properties
Final energy in eV per formula unit: -77.114

extended XYZ file:
```
5
Lattice="3.6902 0.0000 -1.4141 -0.5419 3.6502 -1.4141 -0.0066 -0.0077 5.5045" Properties=species:S:1:pos:R:3 pbc="T T T"
Tb 0.0000 0.0000 0.0000
Si 1.9751 2.2900 -0.3678
Si 1.1665 1.3525 3.0440
Ni 2.6288 0.9087 1.3381
Ni 0.5128 2.7338 1.3381
```

---

# 6
VASP calculation (r2SCAN) on an optimized crystal structure of MgSc2Cd.

## Properties
Final energy in eV per formula unit: -47.792

extended XYZ file:
```
4
Lattice="0.0000 3.5495 3.5516 3.5511 0.0000 3.5516 3.5510 3.5495 0.0000" Properties=species:S:1:pos:R:3 pbc="T T T"
Mg 5.3266 5.3242 5.3274
Sc 3.5510 3.5494 0.0000
Sc 3.5511 3.5495 3.5516
Cd 1.7756 1.7747 1.7758
```

---

# 7
VASP calculation (r2SCAN) on an optimized crystal structure of ScAu2.

## Properties
Final energy in eV per formula unit: -115.207

extended XYZ file:
```
3
Lattice="-1.0169 2.8182 1.8933 0.5111 -1.8244 2.9952 4.4085 0.9060 -2.2961" Properties=species:S:1:pos:R:3 pbc="T T T"
Sc 0.5111 -1.8244 2.9952
Au 1.1026 0.9548 2.4940
Au 2.8001 0.9450 0.0985
```

---

# 8
VASP calculation (r2SCAN) on an optimized crystal structure of Si5Rh4.

## Properties
Final energy in eV per formula unit: -147.257

extended XYZ file:
```
18
Lattice="3.5298 0.0000 0.0000 0.0000 5.8491 -1.0462 0.0000 0.0036 12.3426" Properties=species:S:1:pos:R:3 pbc="T T T"
Si 2.6474 3.0007 0.4170
Si 2.6474 5.7188 0.7050
Si 0.8825 3.7326 7.1854
Si 0.8825 5.2328 4.2835
Si 0.8825 2.7308 2.2709
Si 0.8825 2.8520 10.8794
Si 2.6474 2.1202 4.1110
Si 2.6474 3.1220 9.0255
Si 0.8825 0.1339 10.5914
Si 2.6474 0.6199 7.0129
Rh 0.8825 1.7574 5.8609
Rh 2.6474 4.0954 5.4355
Rh 2.6474 5.2204 8.0334
Rh 0.8825 0.6323 3.2630
Rh 0.8825 1.6759 8.7134
Rh 0.8825 1.2234 0.4015
Rh 2.6474 4.6294 10.8949
Rh 2.6474 4.1768 2.5830
```

---

# 9
VASP calculation (r2SCAN) on an optimized crystal structure of HfScOs2.

## Properties
Final energy in eV per formula unit: -165.151

extended XYZ file:
```
4
Lattice="-0.4686 -2.0226 4.0534 -3.0676 1.5606 2.9825 -3.7371 -2.4388 0.9095" Properties=species:S:1:pos:R:3 pbc="T T T"
Hf -1.8183 -0.7252 1.9864
Sc -5.4550 -2.1757 5.9591
Os 0.0000 0.0000 0.0000
Os -3.6366 -1.4505 3.9727
```

---

# 10
VASP calculation (r2SCAN) on an optimized crystal structure of SnF2.

## Properties
Final energy in eV per formula unit: -38.126

extended XYZ file:
```
24
Lattice="-2.0895 -3.2186 3.0093 4.3015 -1.5525 5.2775 -4.3465 8.1703 9.6718" Properties=species:S:1:pos:R:3 pbc="T T T"
Sn -1.3718 3.6164 10.5787
Sn -0.6587 3.2866 14.6723
Sn -0.7627 -0.2172 7.3799
Sn -1.4758 0.1126 3.2863
Sn -1.8900 3.8630 6.7512
Sn -4.5582 4.4134 13.3898
Sn -0.2444 -0.4639 11.2075
Sn 2.4237 -1.0142 4.5688
F -5.7033 4.6945 11.5598
F -2.1281 1.4512 10.5733
F 3.5689 -1.2953 6.3988
F -0.0064 1.9480 7.3853
F 0.7903 2.6413 10.0195
F -2.2827 5.0905 14.4566
F -2.9247 0.7579 7.9391
F 0.1482 -1.6913 3.5020
F -1.4980 0.5386 5.5934
F 0.3618 1.0547 3.4853
F -0.6365 2.8606 12.3653
F -2.4962 2.3445 14.4733
F 0.9266 -0.7279 6.0490
F 2.1716 0.6655 8.4037
F -3.0611 4.1271 11.9096
F -4.3061 2.7337 9.5549
```

---

# 11
VASP calculation (r2SCAN) on an optimized crystal structure of VSe2.

## Properties
Final energy in eV per formula unit: -45.213

extended XYZ file:
```
3
Lattice="3.4263 0.0000 0.0000 -1.7132 2.9673 0.0000 0.0000 0.0000 6.3497" Properties=species:S:1:pos:R:3 pbc="T T T"
V 0.0000 0.0000 0.0000
Se 1.7132 0.9891 4.8177
Se 0.0000 1.9782 1.5320
```

---

# 12
VASP calculation (r2SCAN) on an optimized crystal structure of Pb.

## Properties
Final energy in eV per formula unit: -56.266
Distance to the lowest polymorph of the same formula in meV per atom: 19

extended XYZ file:
```
4
Lattice="-0.3504 2.3408 -2.6113 -2.3168 -0.0375 2.6556 6.5383 7.4594 5.8094" Properties=species:S:1:pos:R:3 pbc="T T T"
Pb 0.0000 0.0000 0.0000
Pb -0.0268 2.6201 2.3523
Pb 3.2691 3.7297 2.9047
Pb 3.8978 7.1426 3.5014
```

---

What did the third record say?
VASP calculation (r2SCAN) on an optimized crystal structure of TbNiGe2.

## Properties
Final energy in eV per formula unit: -74.010

extended XYZ file:
```
8
Lattice="-1.0490 0.7848 3.9046 1.4948 -3.6576 1.1367 6.6978 5.2778 0.7386" Properties=species:S:1:pos:R:3 pbc="T T T"
Tb 0.8279 1.3365 3.2119
Tb 6.3157 1.0684 2.5680
Ni 3.9861 2.7996 3.7663
Ni 3.1576 -0.3946 2.0136
Ge 6.0304 3.7466 4.1252
Ge 3.4703 1.9253 1.6314
Ge 1.1133 -1.3416 1.6548
Ge 3.6733 0.4796 4.1485
```

---

Please write out number 11 again, unchanged.
VASP calculation (r2SCAN) on an optimized crystal structure of VSe2.

## Properties
Final energy in eV per formula unit: -45.213

extended XYZ file:
```
3
Lattice="3.4263 0.0000 0.0000 -1.7132 2.9673 0.0000 0.0000 0.0000 6.3497" Properties=species:S:1:pos:R:3 pbc="T T T"
V 0.0000 0.0000 0.0000
Se 1.7132 0.9891 4.8177
Se 0.0000 1.9782 1.5320
```

---

> Among the records above, which one has the highest final energy?

NaLi3